Arrangement P

{"formula": "La2Cu2O5", "functional": "PBE", "state": "relaxed", "sg": "P-1 (2)", "density_g_cm3": 6.83, "cell": [[3.768, 0.000, 0.000], [-1.868, 6.971, 0.000], [-1.657, -3.069, 13.463]], "species": ["La", "La", "La", "La", "La", "La", "Cu", "Cu", "Cu", "Cu", "Cu", "Cu", "O", "O", "O", "O", "O", "O", "O", "O", "O", "O", "O", "O", "O", "O", "O"], "fractional_positions": [[0.075, 0.308, 0.269], [0.141, 0.276, 0.537], [0.287, 0.250, 0.805], [0.713, 0.750, 0.195], [0.859, 0.724, 0.463], [0.925, 0.692, 0.731], [0.165, 0.631, 0.942], [0.297, 0.024, 0.079], [0.446, 0.014, 0.362], [0.554, 0.986, 0.638], [0.703, 0.976, 0.921], [0.835, 0.369, 0.058], [0.053, 0.984, 0.638], [0.092, 0.659, 0.078], [0.176, 0.913, 0.929], [0.279, 0.656, 0.325], [0.331, 0.624, 0.583], [0.377, 0.024, 0.221], [0.404, 0.592, 0.825], [0.500, 0.000, 0.500], [0.596, 0.408, 0.175], [0.623, 0.976, 0.779], [0.669, 0.376, 0.417], [0.721, 0.344, 0.675], [0.824, 0.087, 0.071], [0.908, 0.341, 0.922], [0.947, 0.016, 0.362]]}


Arrangement Q

{"formula": "La2Cu2O5", "functional": "PBE", "state": "relaxed", "sg": "Ima2 (46)", "density_g_cm3": 6.69, "cell": [[-8.065, 2.780, 2.685], [8.065, -2.780, 2.685], [8.065, 2.780, -2.685]], "species": ["La", "La", "La", "La", "Cu", "Cu", "Cu", "Cu", "O", "O", "O", "O", "O", "O", "O", "O", "O", "O"], "fractional_positions": [[0.012, 0.114, 0.126], [0.012, 0.386, 0.398], [0.988, 0.614, 0.602], [0.988, 0.886, 0.874], [0.438, 0.722, 0.215], [0.505, 0.005, 0.500], [0.505, 0.505, 0.000], [0.507, 0.222, 0.785], [0.007, 0.263, 0.766], [0.007, 0.740, 0.243], [0.188, 0.837, 0.851], [0.463, 0.161, 0.576], [0.463, 0.387, 0.802], [0.497, 0.240, 0.234], [0.497, 0.763, 0.757], [0.585, 0.661, 0.198], [0.585, 0.887, 0.424], [0.986, 0.337, 0.149]]}


Arrangement R

{"formula": "La2Cu2O5", "functional": "PBE", "state": "relaxed", "sg": "P1 (1)", "density_g_cm3": 6.84, "cell": [[3.768, 0.000, 0.000], [1.882, 6.965, 0.000], [1.864, 0.832, 26.922]], "species": ["La", "La", "La", "La", "La", "La", "La", "La", "La", "La", "La", "La", "Cu", "Cu", "Cu", "Cu", "Cu", "Cu", "Cu", "Cu", "Cu", "Cu", "Cu", "Cu", "O", "O", "O", "O", "O", "O", "O", "O", "O", "O", "O", "O", "O", "O", "O", "O", "O", "O", "O", "O", "O", "O", "O", "O", "O", "O", "O", "O", "O", "O"], "fractional_positions": [[0.000, 0.000, 0.000], [0.002, 0.834, 0.134], [0.239, 0.479, 0.964], [0.272, 0.318, 0.097], [0.313, 0.152, 0.231], [0.429, 0.501, 0.501], [0.458, 0.335, 0.635], [0.499, 0.176, 0.769], [0.727, 0.821, 0.597], [0.737, 0.655, 0.732], [0.746, 0.979, 0.463], [0.980, 0.672, 0.268], [0.092, 0.161, 0.546], [0.105, 0.992, 0.685], [0.115, 0.310, 0.405], [0.131, 0.846, 0.826], [0.168, 0.986, 0.337], [0.563, 0.665, 0.395], [0.593, 0.813, 0.905], [0.621, 0.341, 0.326], [0.623, 0.659, 0.046], [0.639, 0.496, 0.185], [0.798, 0.170, 0.895], [0.936, 0.491, 0.837], [0.061, 0.884, 0.901], [0.094, 0.081, 0.616], [0.104, 0.239, 0.476], [0.119, 0.915, 0.755], [0.122, 0.661, 0.046], [0.143, 0.489, 0.184], [0.152, 0.277, 0.330], [0.253, 0.822, 0.528], [0.269, 0.509, 0.779], [0.273, 0.662, 0.657], [0.312, 0.945, 0.405], [0.415, 0.706, 0.327], [0.446, 0.992, 0.074], [0.465, 0.147, 0.953], [0.482, 0.833, 0.203], [0.581, 0.380, 0.402], [0.590, 0.163, 0.547], [0.605, 0.992, 0.685], [0.606, 0.740, 0.976], [0.632, 0.415, 0.255], [0.632, 0.577, 0.116], [0.661, 0.780, 0.830], [0.764, 0.448, 0.905], [0.820, 0.320, 0.028], [0.827, 0.160, 0.157], [0.864, 0.646, 0.453], [0.871, 0.007, 0.278], [0.899, 0.495, 0.575], [0.906, 0.333, 0.704], [0.973, 0.209, 0.827]]}


Among the structures above, stability is smallest for arrangement Q.